1.
Below is crystalline RbMg6V at its relaxed geometry, with properties calculated at the PBE level.

Cell and atoms, written as POSCAR:
```
RbMg6V
1.0
3.290 0.000 0.000
0.000 5.672 5.662
0.000 -5.672 5.662
Rb Mg V
1 6 1
Direct
0.000 0.000 0.000
0.000 0.012 0.503
0.000 0.503 0.012
0.500 0.296 0.296
0.500 0.304 0.712
0.500 0.702 0.702
0.500 0.712 0.304
0.000 0.497 0.497
```

Output
Energy relative to the elements ... 2.56 eV per formula unit
Energy relative to the lowest polymorph listed for this composition ... 0.0 meV per atom
Calculated total energy ... -2.14 eV per atom

=====

2.
Below is crystalline TbMnSi at its relaxed geometry, with properties calculated at the PBE level.

Cell and atoms, written as POSCAR:
```
TbMnSi
1.0
7.035 0.000 0.000
0.000 4.116 0.000
0.000 0.000 7.580
Tb Mn Si
4 4 4
Direct
0.007 0.250 0.186
0.493 0.750 0.686
0.507 0.250 0.314
0.993 0.750 0.814
0.137 0.250 0.558
0.363 0.750 0.058
0.637 0.250 0.942
0.863 0.750 0.442
0.210 0.750 0.390
0.290 0.250 0.890
0.710 0.750 0.110
0.790 0.250 0.610
```

Output
Energy relative to the elements ... -1.43 eV per formula unit
Calculated total energy ... -6.91 eV per atom

=====

3.
Below is crystalline Nd2Ge3Ir at its relaxed geometry, with properties calculated at the PBE level.

Cell and atoms, written as POSCAR:
```
Nd2Ge3Ir
1.0
4.177 0.000 0.000
0.000 4.358 0.000
0.000 0.000 7.361
Nd Ge Ir
2 3 1
Direct
0.000 0.000 0.000
0.000 0.500 0.483
0.500 0.000 0.646
0.500 0.500 0.164
0.500 0.500 0.823
0.500 0.000 0.314
```

Output
Energy relative to the elements ... -4.51 eV per formula unit
Calculated total energy ... -6.13 eV per atom

=====

4.
Below is crystalline Er2InNi2 at its relaxed geometry, with properties calculated at the PBE level.

Cell and atoms, written as POSCAR:
```
Er2InNi2
1.0
7.315 0.000 0.000
0.000 7.315 0.000
0.000 0.000 3.583
Er In Ni
4 2 4
Direct
0.174 0.326 0.000
0.326 0.826 0.000
0.674 0.174 0.000
0.826 0.674 0.000
0.000 0.000 0.500
0.500 0.500 0.500
0.119 0.619 0.500
0.381 0.119 0.500
0.619 0.881 0.500
0.881 0.381 0.500
```

Output
Energy relative to the elements ... -2.62 eV per formula unit
Calculated total energy ... -5.21 eV per atom

=====

5.
Below is crystalline P4S3I2 at its relaxed geometry, with properties calculated at the PBE level.

Cell and atoms, written as POSCAR:
```
P4S3I2
1.0
9.947 0.000 0.000
0.000 16.759 0.000
0.000 0.000 6.959
P S I
16 12 8
Direct
0.022 0.149 0.047
0.022 0.351 0.047
0.133 0.250 0.191
0.244 0.250 0.757
0.256 0.750 0.257
0.367 0.750 0.691
0.478 0.649 0.547
0.478 0.851 0.547
0.522 0.149 0.453
0.522 0.351 0.453
0.633 0.250 0.309
0.744 0.250 0.743
0.756 0.750 0.243
0.867 0.750 0.809
0.978 0.649 0.953
0.978 0.851 0.953
0.111 0.150 0.766
0.111 0.350 0.766
0.182 0.750 0.541
0.318 0.250 0.041
0.389 0.650 0.266
0.389 0.850 0.266
0.611 0.150 0.734
0.611 0.350 0.734
0.682 0.750 0.959
0.818 0.250 0.459
0.889 0.650 0.234
0.889 0.850 0.234
0.146 0.042 0.222
0.146 0.458 0.222
0.354 0.542 0.722
0.354 0.958 0.722
0.646 0.042 0.278
0.646 0.458 0.278
0.854 0.542 0.778
0.854 0.958 0.778
```

Output
Energy relative to the elements ... -3.41 eV per formula unit
Energy relative to the lowest polymorph listed for this composition ... 18.4 meV per atom
Calculated total energy ... -4.25 eV per atom

=====

6.
Below is crystalline Hf3Ta at its relaxed geometry, with properties calculated at the PBE level.

Cell and atoms, written as POSCAR:
```
Hf3Ta
1.0
4.407 0.000 0.000
0.000 4.407 0.000
0.000 0.000 4.407
Hf Ta
3 1
Direct
0.000 0.000 0.500
0.000 0.500 0.000
0.500 0.000 0.000
0.500 0.500 0.500
```

Output
Energy relative to the elements ... 0.59 eV per formula unit
Calculated total energy ... -10.28 eV per atom

=====

7.
Below is crystalline Na3Au at its relaxed geometry, with properties calculated at the PBE level.

Cell and atoms, written as POSCAR:
```
Na3Au
1.0
-2.552 2.552 3.835
2.552 -2.552 3.835
2.552 2.552 -3.835
Na Au
3 1
Direct
0.000 0.000 0.000
0.250 0.750 0.500
0.750 0.250 0.500
0.500 0.500 0.000
```

Output
Energy relative to the elements ... -0.74 eV per formula unit
Calculated total energy ... -1.99 eV per atom

=====

8.
Below is crystalline CaAl2Si6O16 at its relaxed geometry, with properties calculated at the PBE level.

Cell and atoms, written as POSCAR:
```
CaAl2Si6O16
1.0
4.987 0.000 0.000
0.260 8.582 0.000
0.117 0.113 8.806
Ca Al Si O
1 2 6 16
Direct
0.000 0.000 0.000
0.020 0.865 0.677
0.776 0.709 0.176
0.067 0.235 0.668
0.267 0.204 0.320
0.282 0.848 0.335
0.532 0.737 0.849
0.582 0.371 0.828
0.763 0.343 0.156
0.012 0.215 0.199
0.051 0.831 0.204
0.152 0.244 0.488
0.154 0.842 0.501
0.234 0.822 0.835
0.325 0.276 0.772
0.392 0.028 0.299
0.494 0.547 0.871
0.503 0.321 0.269
0.527 0.726 0.312
0.670 0.806 0.004
0.688 0.276 0.985
0.720 0.772 0.705
0.824 0.364 0.701
0.872 0.514 0.153
0.966 0.067 0.727
```

Output
Energy relative to the elements ... -82.90 eV per formula unit
Calculated total energy ... -7.72 eV per atom

=====

- Look up the calculated total energy of the sixth one.
  -10.28 eV per atom

=====

- calculated total energy of number 8 (CaAl2Si6O16)?
  -7.72 eV per atom

=====

Repeat the sixth record exactly.
Below is crystalline Hf3Ta at its relaxed geometry, with properties calculated at the PBE level.

Cell and atoms, written as POSCAR:
```
Hf3Ta
1.0
4.407 0.000 0.000
0.000 4.407 0.000
0.000 0.000 4.407
Hf Ta
3 1
Direct
0.000 0.000 0.500
0.000 0.500 0.000
0.500 0.000 0.000
0.500 0.500 0.500
```

Output
Energy relative to the elements ... 0.59 eV per formula unit
Calculated total energy ... -10.28 eV per atom